[1]
SrCrO2: relaxed, PBE with a Hubbard U.

Cell: 5.353 6.724 6.724 Å, 74.47 82.77 82.77°
Element x y z (fractional)
Sr1 0.502 0.252 0.752
Sr2 0.998 0.498 0.998
Sr3 0.502 0.752 0.252
Sr4 0.998 0.998 0.498
Cr1 0.010 0.494 0.494
Cr2 0.490 0.756 0.756
Cr3 0.010 0.994 0.994
Cr4 0.490 0.256 0.256
O1 0.002 0.249 0.749
O2 0.498 0.501 0.001
O3 0.002 0.749 0.249
O4 0.498 0.001 0.501
O5 0.250 0.625 0.625
O6 0.750 0.875 0.875
O7 0.250 0.125 0.125
O8 0.750 0.375 0.375

- E above lowest polymorph: 14 meV/atom

---

[2]
Sr3Cr2O8: relaxed, PBE with a Hubbard U.

Cell: 5.629 5.672 7.513 Å, 90.15 111.92 119.75°
Element x y z (fractional)
Sr1 0.000 0.000 0.000
Sr2 0.404 0.201 0.609
Sr3 0.596 0.799 0.391
Cr1 0.189 0.595 0.782
Cr2 0.811 0.405 0.218
O1 0.031 0.264 0.305
O2 0.033 0.766 0.302
O3 0.350 0.669 0.034
O4 0.463 0.735 0.695
O5 0.537 0.265 0.305
O6 0.650 0.331 0.966
O7 0.967 0.234 0.698
O8 0.969 0.736 0.695

- Symmetry: No. 2

---

[3]
Sr2Cr2O7: relaxed, PBE with a Hubbard U.

Cell: 7.126 7.213 13.081 Å, 82.32 87.57 88.86°
Element x y z (fractional)
Sr1 0.076 0.346 0.156
Sr2 0.235 0.725 0.351
Sr3 0.331 0.264 0.860
Sr4 0.373 0.876 0.638
Sr5 0.627 0.124 0.362
Sr6 0.669 0.736 0.140
Sr7 0.765 0.275 0.649
Sr8 0.924 0.654 0.844
Cr1 0.155 0.813 0.089
Cr2 0.164 0.195 0.408
Cr3 0.230 0.397 0.608
Cr4 0.432 0.783 0.894
Cr5 0.568 0.217 0.106
Cr6 0.770 0.603 0.392
Cr7 0.836 0.805 0.592
Cr8 0.845 0.187 0.911
O1 0.006 0.331 0.952
O2 0.015 0.874 0.656
O3 0.065 0.978 0.154
O4 0.076 0.417 0.712
O5 0.083 0.285 0.526
O6 0.291 0.645 0.835
O7 0.296 0.919 0.978
O8 0.301 0.602 0.544
O9 0.302 0.353 0.337
O10 0.307 0.670 0.166
O11 0.310 0.003 0.445
O12 0.378 0.314 0.046
O13 0.403 0.247 0.656
O14 0.497 0.963 0.801
O15 0.503 0.037 0.199
O16 0.597 0.753 0.344
O17 0.622 0.686 0.954
O18 0.690 0.997 0.555
O19 0.693 0.330 0.834
O20 0.698 0.647 0.663
O21 0.699 0.398 0.456
O22 0.704 0.081 0.022
O23 0.709 0.355 0.165
O24 0.917 0.715 0.474
O25 0.924 0.583 0.288
O26 0.935 0.022 0.846
O27 0.985 0.126 0.344
O28 0.994 0.669 0.048

- Symmetry: No. 2

---

[4]
SrCr2O10: relaxed, PBE with a Hubbard U.

Cell: 8.942 14.998 7.276 Å, 90.00 106.12 90.00°
Element x y z (fractional)
Sr1 0.193 0.117 0.313
Sr2 0.193 0.383 0.813
Sr3 0.807 0.617 0.187
Sr4 0.807 0.883 0.687
Cr1 0.212 0.630 0.597
Cr2 0.212 0.870 0.097
Cr3 0.402 0.142 0.903
Cr4 0.402 0.358 0.403
Cr5 0.598 0.642 0.597
Cr6 0.598 0.858 0.097
Cr7 0.788 0.130 0.903
Cr8 0.788 0.370 0.403
O1 0.045 0.226 0.497
O2 0.045 0.274 0.997
O3 0.058 0.521 0.047
O4 0.058 0.979 0.547
O5 0.073 0.600 0.410
O6 0.073 0.900 0.910
O7 0.171 0.732 0.657
O8 0.171 0.768 0.157
O9 0.217 0.561 0.771
O10 0.217 0.939 0.271
O11 0.312 0.101 0.694
O12 0.312 0.399 0.194
O13 0.341 0.092 0.071
O14 0.341 0.408 0.571
O15 0.361 0.248 0.904
O16 0.361 0.252 0.404
O17 0.394 0.629 0.543
O18 0.394 0.871 0.043
O19 0.498 0.037 0.464
O20 0.498 0.463 0.964
O21 0.502 0.537 0.036
O22 0.502 0.963 0.536
O23 0.606 0.129 0.957
O24 0.606 0.371 0.457
O25 0.639 0.748 0.596
O26 0.639 0.752 0.096
O27 0.659 0.592 0.429
O28 0.659 0.908 0.929
O29 0.688 0.601 0.806
O30 0.688 0.899 0.306
O31 0.783 0.061 0.729
O32 0.783 0.439 0.229
O33 0.829 0.232 0.843
O34 0.829 0.268 0.343
O35 0.927 0.100 0.090
O36 0.927 0.400 0.590
O37 0.942 0.021 0.453
O38 0.942 0.479 0.953
O39 0.955 0.726 0.003
O40 0.955 0.774 0.503

- Symmetry: No. 14

---

[5]
Sr2CrO4: relaxed, PBE with a Hubbard U.

Cell: 14.384 5.910 10.122 Å, 90.00 90.00 90.00°
Element x y z (fractional)
Sr1 0.046 0.224 0.000
Sr2 0.119 0.194 0.638
Sr3 0.130 0.723 0.227
Sr4 0.205 0.692 0.865
Sr5 0.295 0.192 0.365
Sr6 0.370 0.223 0.727
Sr7 0.381 0.694 0.138
Sr8 0.454 0.724 0.500
Sr9 0.546 0.276 0.000
Sr10 0.619 0.306 0.638
Sr11 0.630 0.777 0.227
Sr12 0.705 0.808 0.865
Sr13 0.795 0.308 0.365
Sr14 0.870 0.277 0.727
Sr15 0.881 0.806 0.138
Sr16 0.954 0.776 0.500
Cr1 0.024 0.276 0.351
Cr2 0.231 0.697 0.513
Cr3 0.269 0.197 0.013
Cr4 0.476 0.776 0.851
Cr5 0.524 0.224 0.351
Cr6 0.731 0.803 0.513
Cr7 0.769 0.303 0.013
Cr8 0.976 0.724 0.851
O1 0.013 0.054 0.233
O2 0.029 0.470 0.783
O3 0.045 0.783 0.996
O4 0.124 0.841 0.478
O5 0.139 0.358 0.403
O6 0.198 0.133 0.868
O7 0.202 0.446 0.071
O8 0.243 0.499 0.648
O9 0.257 0.999 0.148
O10 0.298 0.946 0.571
O11 0.302 0.633 0.368
O12 0.361 0.858 0.903
O13 0.376 0.341 0.978
O14 0.455 0.283 0.496
O15 0.471 0.970 0.283
O16 0.487 0.554 0.733
O17 0.513 0.446 0.233
O18 0.529 0.030 0.783
O19 0.545 0.717 0.996
O20 0.624 0.659 0.478
O21 0.639 0.142 0.403
O22 0.698 0.367 0.868
O23 0.702 0.054 0.071
O24 0.743 0.001 0.648
O25 0.757 0.501 0.148
O26 0.798 0.554 0.571
O27 0.802 0.867 0.368
O28 0.861 0.642 0.903
O29 0.876 0.159 0.978
O30 0.955 0.217 0.496
O31 0.971 0.530 0.283
O32 0.987 0.946 0.733

- Symmetry: No. 33
- E above lowest polymorph: 0 meV/atom

---

[6]
SrCrO2: relaxed, PBE with a Hubbard U.

Cell: 5.340 5.339 5.339 Å, 98.95 114.97 114.97°
Element x y z (fractional)
Sr1 0.500 0.250 0.750
Sr2 0.500 0.750 0.250
Cr1 0.000 0.500 0.500
Cr2 0.000 0.000 0.000
O1 0.000 0.250 0.750
O2 0.000 0.750 0.250
O3 0.500 0.750 0.750
O4 0.500 0.250 0.250

- E above lowest polymorph: 0 meV/atom

---

[7]
Sr3Cr2O8: relaxed, PBE with a Hubbard U.

Cell: 5.655 7.523 9.417 Å, 110.25 90.20 90.02°
Element x y z (fractional)
Sr1 0.249 0.154 0.046
Sr2 0.249 0.749 0.249
Sr3 0.250 0.342 0.452
Sr4 0.750 0.658 0.548
Sr5 0.751 0.251 0.751
Sr6 0.751 0.846 0.954
Cr1 0.251 0.561 0.844
Cr2 0.251 0.937 0.655
Cr3 0.749 0.063 0.345
Cr4 0.749 0.439 0.156
O1 0.001 0.964 0.767
O2 0.004 0.534 0.729
O3 0.245 0.111 0.578
O4 0.248 0.400 0.934
O5 0.253 0.784 0.982
O6 0.255 0.714 0.519
O7 0.498 0.040 0.235
O8 0.498 0.536 0.731
O9 0.502 0.464 0.269
O10 0.502 0.960 0.765
O11 0.745 0.286 0.481
O12 0.747 0.216 0.018
O13 0.752 0.600 0.066
O14 0.755 0.889 0.422
O15 0.996 0.466 0.271
O16 0.999 0.036 0.233

- Symmetry: No. 2

---

[8]
Sr2CrO4: relaxed, PBE with a Hubbard U.

Cell: 6.974 6.974 6.974 Å, 148.09 148.09 45.75°
Element x y z (fractional)
Sr1 0.148 0.148 0.000
Sr2 0.852 0.852 0.000
Cr1 0.500 0.500 0.000
O1 0.000 0.500 0.500
O2 0.342 0.342 0.000
O3 0.500 0.000 0.500
O4 0.658 0.658 0.000

- Symmetry: No. 139
- E above lowest polymorph: 34 meV/atom

---

[9]
SrU2Cr2O22: relaxed, PBE with a Hubbard U.

Cell: 9.079 10.005 11.211 Å, 108.93 96.78 94.19°
Element x y z (fractional)
Sr1 0.249 0.365 0.329
Sr2 0.751 0.635 0.671
U1 0.024 0.856 0.552
U2 0.456 0.644 0.955
U3 0.544 0.356 0.045
U4 0.976 0.144 0.448
Cr1 0.148 0.533 0.653
Cr2 0.266 0.993 0.909
Cr3 0.734 0.007 0.091
Cr4 0.852 0.467 0.347
O1 0.022 0.647 0.641
O2 0.027 0.343 0.916
O3 0.040 0.083 0.610
O4 0.056 0.373 0.618
O5 0.080 0.710 0.175
O6 0.132 0.938 0.788
O7 0.138 0.161 0.100
O8 0.142 0.624 0.226
O9 0.168 0.163 0.406
O10 0.189 0.038 0.068
O11 0.218 0.846 0.527
O12 0.236 0.588 0.802
O13 0.270 0.526 0.553
O14 0.348 0.710 0.085
O15 0.363 0.141 0.920
O16 0.373 0.870 0.914
O17 0.386 0.428 0.931
O18 0.423 0.994 0.373
O19 0.428 0.259 0.652
O20 0.431 0.385 0.180
O21 0.459 0.092 0.335
O22 0.498 0.319 0.592
O23 0.502 0.681 0.408
O24 0.541 0.908 0.665
O25 0.569 0.615 0.820
O26 0.572 0.741 0.348
O27 0.577 0.006 0.627
O28 0.614 0.572 0.069
O29 0.627 0.130 0.086
O30 0.637 0.859 0.080
O31 0.652 0.290 0.915
O32 0.730 0.474 0.447
O33 0.764 0.412 0.198
O34 0.782 0.154 0.473
O35 0.811 0.962 0.932
O36 0.832 0.837 0.594
O37 0.858 0.376 0.774
O38 0.862 0.839 0.900
O39 0.868 0.062 0.212
O40 0.920 0.290 0.825
O41 0.944 0.627 0.382
O42 0.960 0.917 0.390
O43 0.973 0.657 0.084
O44 0.978 0.353 0.359

- Symmetry: No. 2

---

[10]
Sr2UCrO6: relaxed, PBE with a Hubbard U.

Cell: 5.848 5.848 5.848 Å, 60.00 60.00 60.00°
Element x y z (fractional)
Sr1 0.250 0.250 0.250
Sr2 0.750 0.750 0.750
U1 0.000 0.000 0.000
Cr1 0.500 0.500 0.500
O1 0.258 0.258 0.742
O2 0.258 0.742 0.258
O3 0.258 0.742 0.742
O4 0.742 0.258 0.258
O5 0.742 0.258 0.742
O6 0.742 0.742 0.258

- Symmetry: No. 225

---

[11]
Sr2CrWO6: relaxed, PBE with a Hubbard U.

Cell: 5.693 7.892 5.693 Å, 90.00 90.00 90.00°
Element x y z (fractional)
Sr1 0.500 0.750 0.000
Sr2 0.000 0.250 0.500
Sr3 0.500 0.250 0.000
Sr4 0.000 0.750 0.500
Cr1 0.500 0.000 0.500
Cr2 0.000 0.500 0.000
W1 0.500 0.500 0.500
W2 0.000 0.000 0.000
O1 0.249 0.500 0.751
O2 0.749 0.000 0.251
O3 0.751 0.500 0.249
O4 0.251 0.000 0.749
O5 0.249 0.500 0.249
O6 0.749 0.000 0.749
O7 0.751 0.500 0.751
O8 0.251 0.000 0.251
O9 0.000 0.754 0.000
O10 0.500 0.254 0.500
O11 0.000 0.246 0.000
O12 0.500 0.746 0.500

- E above lowest polymorph: 0 meV/atom

---

[12]
Sr2CrWO6: relaxed, PBE with a Hubbard U.

Cell: 5.673 5.673 7.973 Å, 90.00 90.00 90.60°
Element x y z (fractional)
Sr1 0.000 0.500 0.244
Sr2 0.000 0.500 0.756
Sr3 0.500 0.000 0.244
Sr4 0.500 0.000 0.756
Cr1 0.000 0.000 0.000
Cr2 0.500 0.500 0.500
W1 0.000 0.000 0.500
W2 0.500 0.500 0.000
O1 0.000 0.000 0.249
O2 0.000 0.000 0.751
O3 0.246 0.246 0.500
O4 0.249 0.249 0.000
O5 0.250 0.750 0.000
O6 0.253 0.747 0.500
O7 0.500 0.500 0.246
O8 0.500 0.500 0.754
O9 0.747 0.253 0.500
O10 0.750 0.250 0.000
O11 0.751 0.751 0.000
O12 0.754 0.754 0.500

- Symmetry: No. 65
- E above lowest polymorph: 3 meV/atom

---

Number 1: volume 14.4 A^3/atom, energy of formation -2.5335 eV per atom. Number 2: volume 14.4 A^3/atom, energy of formation -2.6272 eV per atom. Number 3: volume 15.1 A^3/atom, energy of formation -2.4692 eV per atom. Number 4: volume 18.0 A^3/atom, energy of formation -1.1156 eV per atom. Number 5: volume 15.4 A^3/atom, energy of formation -2.7893 eV per atom. Number 6: volume 14.3 A^3/atom, energy of formation -2.5476 eV per atom. Number 7: volume 14.5 A^3/atom, energy of formation -2.6282 eV per atom. Number 8: volume 13.5 A^3/atom, energy of formation -2.7553 eV per atom. Number 9: volume 17.6 A^3/atom, energy of formation -1.3192 eV per atom. Number 10: volume 14.1 A^3/atom, energy of formation -3.2734 eV per atom. Number 11: volume 12.8 A^3/atom, energy of formation -2.7661 eV per atom. Number 12: volume 12.8 A^3/atom, energy of formation -2.7633 eV per atom.